First-principles (GGA+U) data for MnFeP2O8 after structural relaxation, as listed in Materials Project.

Summary:
Formation energy in kJ/mol of atoms: -222.9
Energy above the lowest structure with this stoichiometry in eV/atom: 0.068
SG: No. 146

a b c (Å): 8.500 8.603 8.603
angles (deg): 60.00 59.60 59.60
Fractional positions:
Mn (0.074, 0.642, 0.642)
Mn (0.433, 0.856, 0.856)
Mn (0.927, 0.358, 0.358)
Fe (0.000, 0.000, 0.000)
Fe (0.564, 0.145, 0.145)
Fe (0.502, 0.499, 0.499)
P (0.245, 0.251, 0.546)
P (0.245, 0.958, 0.251)
P (0.245, 0.546, 0.958)
P (0.755, 0.457, 0.039)
P (0.755, 0.039, 0.749)
P (0.755, 0.749, 0.457)
O (0.060, 0.116, 0.312)
O (0.060, 0.512, 0.116)
O (0.060, 0.312, 0.512)
O (0.218, 0.092, 0.748)
O (0.431, 0.186, 0.389)
O (0.270, 0.412, 0.560)
O (0.218, 0.941, 0.092)
O (0.270, 0.758, 0.412)
O (0.568, 0.609, 0.006)
O (0.270, 0.560, 0.758)
O (0.783, 0.255, 0.052)
O (0.568, 0.006, 0.817)
O (0.431, 0.994, 0.186)
O (0.218, 0.748, 0.941)
O (0.730, 0.444, 0.238)
O (0.431, 0.389, 0.994)
O (0.730, 0.238, 0.588)
O (0.783, 0.052, 0.910)
O (0.730, 0.588, 0.444)
O (0.568, 0.817, 0.609)
O (0.783, 0.910, 0.255)
O (0.939, 0.681, 0.497)
O (0.939, 0.497, 0.883)
O (0.939, 0.883, 0.681)

=====

First-principles (GGA+U) data for Mn3FeP4O16 after structural relaxation, as listed in Materials Project.

Summary:
Formation energy in kJ/mol of atoms: -232.2
SG: No. 8

a b c (Å): 11.533 11.533 4.929
angles (deg): 90.00 90.00 62.84
Fractional positions:
Mn (0.517, 0.016, 0.931)
Mn (0.016, 0.517, 0.931)
Mn (0.265, 0.768, 0.569)
Mn (0.768, 0.265, 0.569)
Mn (0.732, 0.732, 0.429)
Mn (0.982, 0.982, 0.074)
Fe (0.237, 0.237, 0.458)
Fe (0.488, 0.488, 0.040)
P (0.825, 0.825, 0.916)
P (0.326, 0.326, 0.912)
P (0.577, 0.577, 0.586)
P (0.075, 0.075, 0.587)
P (0.926, 0.423, 0.417)
P (0.423, 0.926, 0.417)
P (0.672, 0.177, 0.083)
P (0.177, 0.672, 0.083)
O (0.902, 0.902, 0.856)
O (0.402, 0.402, 0.843)
O (0.388, 0.190, 0.764)
O (0.890, 0.689, 0.773)
O (0.689, 0.890, 0.773)
O (0.190, 0.388, 0.764)
O (0.683, 0.185, 0.772)
O (0.185, 0.683, 0.772)
O (0.434, 0.935, 0.728)
O (0.935, 0.434, 0.728)
O (0.639, 0.441, 0.735)
O (0.441, 0.639, 0.735)
O (0.138, 0.938, 0.728)
O (0.938, 0.138, 0.728)
O (0.151, 0.151, 0.648)
O (0.653, 0.653, 0.653)
O (0.847, 0.348, 0.358)
O (0.348, 0.847, 0.358)
O (0.559, 0.862, 0.275)
O (0.063, 0.357, 0.278)
O (0.357, 0.063, 0.278)
O (0.862, 0.559, 0.275)
O (0.064, 0.064, 0.277)
O (0.566, 0.566, 0.281)
O (0.815, 0.815, 0.225)
O (0.315, 0.315, 0.217)
O (0.314, 0.607, 0.222)
O (0.808, 0.112, 0.226)
O (0.607, 0.314, 0.222)
O (0.112, 0.808, 0.226)
O (0.595, 0.100, 0.143)
O (0.100, 0.595, 0.143)

=====

First-principles (GGA+U) data for MnFe3P4O16 after structural relaxation, as listed in Materials Project.

Summary:
Formation energy in kJ/mol of atoms: -225.9
SG: No. 6

a b c (Å): 5.962 4.900 9.920
angles (deg): 89.58 90.00 90.00
Fractional positions:
Mn (0.000, 0.060, 0.282)
Fe (0.000, 0.468, 0.773)
Fe (0.500, 0.537, 0.224)
Fe (0.500, 0.968, 0.727)
P (0.500, 0.081, 0.403)
P (0.500, 0.415, 0.903)
P (0.000, 0.581, 0.100)
P (0.000, 0.921, 0.596)
O (0.500, 0.148, 0.553)
O (0.301, 0.230, 0.329)
O (0.699, 0.230, 0.329)
O (0.000, 0.229, 0.617)
O (0.000, 0.267, 0.119)
O (0.299, 0.272, 0.827)
O (0.701, 0.272, 0.827)
O (0.500, 0.344, 0.053)
O (0.000, 0.640, 0.948)
O (0.796, 0.719, 0.171)
O (0.204, 0.719, 0.171)
O (0.500, 0.723, 0.880)
O (0.500, 0.774, 0.381)
O (0.799, 0.775, 0.671)
O (0.201, 0.775, 0.671)
O (0.000, 0.852, 0.446)

=====

First-principles (GGA+U) data for MnFe2P3O12 after structural relaxation, as listed in Materials Project.

Summary:
Formation energy in kJ/mol of atoms: -224.5
Energy above the lowest structure with this stoichiometry in eV/atom: 0.030
SG: No. 167

a b c (Å): 8.571 8.571 8.571
angles (deg): 60.71 60.71 60.71
Fractional positions:
Mn (0.000, 0.000, 0.000)
Mn (0.500, 0.500, 0.500)
Fe (0.855, 0.855, 0.855)
Fe (0.645, 0.645, 0.645)
Fe (0.355, 0.355, 0.355)
Fe (0.145, 0.145, 0.145)
P (0.955, 0.250, 0.545)
P (0.545, 0.955, 0.250)
P (0.250, 0.545, 0.955)
P (0.750, 0.455, 0.045)
P (0.455, 0.045, 0.750)
P (0.045, 0.750, 0.455)
O (0.890, 0.682, 0.495)
O (0.682, 0.495, 0.890)
O (0.940, 0.090, 0.743)
O (0.495, 0.890, 0.682)
O (0.995, 0.182, 0.390)
O (0.757, 0.410, 0.560)
O (0.743, 0.940, 0.090)
O (0.560, 0.757, 0.410)
O (0.818, 0.610, 0.005)
O (0.410, 0.560, 0.757)
O (0.910, 0.257, 0.060)
O (0.610, 0.005, 0.818)
O (0.390, 0.995, 0.182)
O (0.090, 0.743, 0.940)
O (0.590, 0.440, 0.243)
O (0.182, 0.390, 0.995)
O (0.440, 0.243, 0.590)
O (0.257, 0.060, 0.910)
O (0.243, 0.590, 0.440)
O (0.005, 0.818, 0.610)
O (0.505, 0.110, 0.318)
O (0.060, 0.910, 0.257)
O (0.318, 0.505, 0.110)
O (0.110, 0.318, 0.505)

=====

First-principles (GGA+U) data for MnFe2P2O11 after structural relaxation, as listed in Materials Project.

Summary:
Formation energy in kJ/mol of atoms: -183.7
SG: No. 33

a b c (Å): 7.921 9.546 9.674
angles (deg): 90.00 90.00 90.00
Fractional positions:
Mn (0.360, 0.383, 0.792)
Mn (0.860, 0.617, 0.208)
Mn (0.860, 0.117, 0.292)
Mn (0.360, 0.883, 0.708)
Fe (0.999, 0.502, 0.751)
Fe (0.499, 0.998, 0.251)
Fe (0.499, 0.498, 0.249)
Fe (0.999, 0.002, 0.749)
Fe (0.137, 0.880, 0.208)
Fe (0.637, 0.120, 0.792)
Fe (0.637, 0.620, 0.708)
Fe (0.137, 0.380, 0.292)
P (0.715, 0.392, 0.962)
P (0.785, 0.893, 0.043)
P (0.215, 0.608, 0.038)
P (0.285, 0.107, 0.957)
P (0.285, 0.607, 0.543)
P (0.215, 0.108, 0.462)
P (0.785, 0.393, 0.457)
P (0.715, 0.892, 0.538)
O (0.583, 0.471, 0.867)
O (0.913, 0.975, 0.140)
O (0.083, 0.529, 0.133)
O (0.413, 0.025, 0.860)
O (0.413, 0.525, 0.640)
O (0.083, 0.029, 0.367)
O (0.913, 0.475, 0.360)
O (0.583, 0.971, 0.633)
O (0.675, 0.234, 0.962)
O (0.831, 0.734, 0.050)
O (0.175, 0.766, 0.038)
O (0.331, 0.266, 0.950)
O (0.331, 0.766, 0.550)
O (0.175, 0.266, 0.462)
O (0.831, 0.234, 0.450)
O (0.675, 0.734, 0.538)
O (0.857, 0.149, 0.721)
O (0.650, 0.655, 0.275)
O (0.357, 0.851, 0.279)
O (0.150, 0.345, 0.725)
O (0.150, 0.845, 0.775)
O (0.357, 0.351, 0.221)
O (0.650, 0.155, 0.225)
O (0.857, 0.649, 0.779)
O (0.489, 0.256, 0.705)
O (0.989, 0.744, 0.295)
O (0.489, 0.756, 0.795)
O (0.989, 0.244, 0.205)
O (0.709, 0.454, 0.111)
O (0.797, 0.943, 0.892)
O (0.209, 0.546, 0.889)
O (0.297, 0.057, 0.108)
O (0.297, 0.557, 0.392)
O (0.209, 0.046, 0.611)
O (0.797, 0.443, 0.608)
O (0.709, 0.954, 0.389)
O (0.896, 0.412, 0.904)
O (0.603, 0.914, 0.094)
O (0.396, 0.588, 0.096)
O (0.103, 0.086, 0.906)
O (0.103, 0.586, 0.594)
O (0.396, 0.088, 0.404)
O (0.603, 0.414, 0.406)
O (0.896, 0.912, 0.596)

=====

First-principles (GGA+U) data for MnFe3P4O16 after structural relaxation, as listed in Materials Project.

Summary:
Formation energy in kJ/mol of atoms: -226.0
SG: No. 31

a b c (Å): 4.897 9.919 11.938
angles (deg): 90.00 90.00 90.00
Fractional positions:
Mn (0.813, 0.718, 0.500)
Mn (0.187, 0.218, 0.000)
Fe (0.781, 0.727, 0.000)
Fe (0.219, 0.227, 0.500)
Fe (0.285, 0.775, 0.251)
Fe (0.285, 0.775, 0.749)
Fe (0.715, 0.275, 0.751)
Fe (0.715, 0.275, 0.249)
P (0.833, 0.597, 0.248)
P (0.833, 0.597, 0.752)
P (0.167, 0.097, 0.252)
P (0.167, 0.097, 0.748)
P (0.331, 0.899, 0.500)
P (0.330, 0.904, 0.000)
P (0.669, 0.399, 0.000)
P (0.670, 0.404, 0.500)
O (0.903, 0.447, 0.251)
O (0.903, 0.447, 0.749)
O (0.979, 0.672, 0.652)
O (0.978, 0.672, 0.852)
O (0.978, 0.672, 0.148)
O (0.979, 0.672, 0.348)
O (0.983, 0.380, 0.000)
O (0.979, 0.383, 0.500)
O (0.021, 0.883, 0.000)
O (0.017, 0.880, 0.500)
O (0.022, 0.172, 0.648)
O (0.021, 0.172, 0.848)
O (0.022, 0.172, 0.352)
O (0.021, 0.172, 0.152)
O (0.097, 0.947, 0.751)
O (0.097, 0.947, 0.249)
O (0.398, 0.056, 0.000)
O (0.390, 0.051, 0.500)
O (0.476, 0.831, 0.100)
O (0.469, 0.828, 0.398)
O (0.476, 0.831, 0.900)
O (0.469, 0.828, 0.602)
O (0.475, 0.119, 0.251)
O (0.475, 0.119, 0.749)
O (0.525, 0.619, 0.751)
O (0.525, 0.619, 0.249)
O (0.531, 0.328, 0.102)
O (0.524, 0.331, 0.400)
O (0.524, 0.331, 0.600)
O (0.531, 0.328, 0.898)
O (0.610, 0.551, 0.000)
O (0.602, 0.556, 0.500)

=====

Question: Which of these has the highest formation energy?
Answer: MnFe2P2O11

=====

Question: What is the formation energy in the third record?
Answer: -225.9 kJ/mol of atoms

=====

Question: Look up the formation energy of the fourth one.
Answer: -224.5 kJ/mol of atoms

=====

Question: formation energy of number 5 (MnFe2P2O11)?
Answer: -183.7 kJ/mol of atoms